Entry A
VASP calculation (PBE-GGA) on a geometry-optimized LiCu2Rh4O8 structure.

```
data_LiCu2Rh4O8
_cell_length_a 10.395
_cell_length_b 6.008
_cell_length_c 6.298
_cell_angle_alpha 90.00
_cell_angle_beta 123.43
_cell_angle_gamma 90.00
_symmetry_space_group_name_H-M 'C 1 2/m 1'
_symmetry_Int_Tables_number 12
_symmetry_space_group_name_Hall '-C 2y'
loop_
_atom_site_label
_atom_site_type_symbol
_atom_site_fract_x
_atom_site_fract_y
_atom_site_fract_z
Li1 Li 0.000 0.000 0.000
Cu1 Cu 0.147 0.000 0.440
Rh1 Rh 0.000 0.500 0.000
Rh2 Rh 0.000 0.500 0.500
Rh3 Rh 0.250 0.250 0.000
O1 O 0.009 0.267 0.760
O2 O 0.234 0.500 0.201
O3 O 0.242 0.500 0.760
```


Entry B
VASP calculation (PBE-GGA) on a geometry-optimized LiCu2Rh4O8 structure.

```
data_LiCu2Rh4O8
_cell_length_a 6.241
_cell_length_b 6.280
_cell_length_c 8.793
_cell_angle_alpha 90.00
_cell_angle_beta 90.00
_cell_angle_gamma 90.00
_symmetry_space_group_name_H-M 'I m m 2'
_symmetry_Int_Tables_number 44
_symmetry_space_group_name_Hall 'I 2 -2'
loop_
_atom_site_label
_atom_site_type_symbol
_atom_site_fract_x
_atom_site_fract_y
_atom_site_fract_z
Li1 Li 0.000 0.000 0.000
Cu1 Cu 0.000 0.000 0.268
Cu2 Cu 0.000 0.500 0.415
Rh1 Rh 0.000 0.251 0.784
Rh2 Rh 0.248 0.500 0.041
O1 O 0.000 0.222 0.549
O2 O 0.000 0.287 0.023
O3 O 0.213 0.500 0.804
O4 O 0.221 0.000 0.778
```


Which one is most stable, and which one is least stable? entry A is the most stable of them, while entry B is the least stable.